# 1
# Na4Mn2C4SO16 | the Materials Project | PBE+U | optimized geometry
# symmetry: F222, No. 22
# crystal system: orthorhombic
data_Na4Mn2C4SO16
_chemical_formula_sum 'Na8 Mn4 C8 S2 O32'
_cell_length_a 10.050
_cell_length_b 10.017
_cell_length_c 9.805
_cell_angle_alpha 60.92
_cell_angle_beta 60.58
_cell_angle_gamma 58.50
_space_group_name_H-M_alt 'P 1'
_space_group_IT_number 1
_space_group_name_Hall 'P 1'
loop_
_atom_site_label
_atom_site_type_symbol
_atom_site_fract_x
_atom_site_fract_y
_atom_site_fract_z
Na1 Na 0.211 0.211 0.789
Na2 Na 0.213 0.787 0.787
Na3 Na 0.214 0.786 0.214
Na4 Na 0.541 0.959 0.959
Na5 Na 0.786 0.214 0.786
Na6 Na 0.787 0.213 0.213
Na7 Na 0.789 0.789 0.211
Na8 Na 0.959 0.541 0.541
Mn1 Mn 0.372 0.379 0.876
Mn2 Mn 0.374 0.876 0.379
Mn3 Mn 0.379 0.372 0.374
Mn4 Mn 0.876 0.374 0.372
C1 C 0.154 0.164 0.524
C2 C 0.158 0.524 0.164
C3 C 0.164 0.154 0.158
C4 C 0.230 0.589 0.593
C5 C 0.524 0.158 0.154
C6 C 0.588 0.593 0.589
C7 C 0.589 0.230 0.588
C8 C 0.593 0.588 0.230
S1 S 0.000 0.000 0.000
S2 S 0.750 0.750 0.750
O1 O 0.014 0.192 0.519
O2 O 0.016 0.532 0.276
O3 O 0.019 0.269 0.183
O4 O 0.176 0.276 0.532
O5 O 0.183 0.529 0.019
O6 O 0.184 0.936 0.940
O7 O 0.192 0.014 0.275
O8 O 0.218 0.568 0.477
O9 O 0.233 0.723 0.571
O10 O 0.237 0.467 0.729
O11 O 0.269 0.019 0.529
O12 O 0.275 0.519 0.192
O13 O 0.276 0.176 0.016
O14 O 0.467 0.237 0.567
O15 O 0.473 0.571 0.723
O16 O 0.477 0.737 0.218
O17 O 0.519 0.275 0.014
O18 O 0.529 0.183 0.269
O19 O 0.532 0.016 0.176
O20 O 0.566 0.816 0.810
O21 O 0.567 0.729 0.467
O22 O 0.568 0.218 0.737
O23 O 0.571 0.473 0.233
O24 O 0.723 0.233 0.473
O25 O 0.729 0.567 0.237
O26 O 0.737 0.477 0.568
O27 O 0.808 0.810 0.816
O28 O 0.810 0.808 0.566
O29 O 0.816 0.566 0.808
O30 O 0.936 0.184 0.940
O31 O 0.940 0.940 0.184
O32 O 0.940 0.940 0.936



# 2
# LiMnO2 | the Materials Project | PBE+U | optimized geometry
# symmetry: Pmmn, No. 59
# crystal system: orthorhombic
data_LiMnO2
_chemical_formula_sum 'Li6 Mn6 O12'
_cell_length_a 4.298
_cell_length_b 8.722
_cell_length_c 5.918
_cell_angle_alpha 90.00
_cell_angle_beta 90.00
_cell_angle_gamma 90.00
_space_group_name_H-M_alt 'P 1'
_space_group_IT_number 1
_space_group_name_Hall 'P 1'
loop_
_atom_site_label
_atom_site_type_symbol
_atom_site_fract_x
_atom_site_fract_y
_atom_site_fract_z
Li1 Li 0.250 0.084 0.130
Li2 Li 0.250 0.416 0.130
Li3 Li 0.250 0.750 0.623
Li4 Li 0.750 0.250 0.377
Li5 Li 0.750 0.584 0.870
Li6 Li 0.750 0.916 0.870
Mn1 Mn 0.250 0.079 0.631
Mn2 Mn 0.250 0.421 0.631
Mn3 Mn 0.250 0.750 0.093
Mn4 Mn 0.750 0.250 0.907
Mn5 Mn 0.750 0.579 0.369
Mn6 Mn 0.750 0.921 0.369
O1 O 0.250 0.250 0.420
O2 O 0.250 0.250 0.866
O3 O 0.250 0.577 0.376
O4 O 0.250 0.579 0.860
O5 O 0.250 0.921 0.860
O6 O 0.250 0.923 0.376
O7 O 0.750 0.077 0.624
O8 O 0.750 0.079 0.140
O9 O 0.750 0.421 0.140
O10 O 0.750 0.423 0.624
O11 O 0.750 0.750 0.134
O12 O 0.750 0.750 0.580



# 3
# MgFe8O8F8 | the Materials Project | PBE+U | optimized geometry
# symmetry: P1, No. 1
# crystal system: triclinic
data_MgFe8O8F8
_chemical_formula_sum 'Mg1 Fe8 O8 F8'
_cell_length_a 3.104
_cell_length_b 9.735
_cell_length_c 9.817
_cell_angle_alpha 87.38
_cell_angle_beta 89.74
_cell_angle_gamma 89.91
_space_group_name_H-M_alt 'P 1'
_space_group_IT_number 1
_space_group_name_Hall 'P 1'
loop_
_atom_site_label
_atom_site_type_symbol
_atom_site_fract_x
_atom_site_fract_y
_atom_site_fract_z
Mg1 Mg 0.000 0.000 0.000
Fe1 Fe 0.018 0.272 0.513
Fe2 Fe 0.018 0.713 0.987
Fe3 Fe 0.019 0.741 0.504
Fe4 Fe 0.043 0.270 0.017
Fe5 Fe 0.509 0.037 0.733
Fe6 Fe 0.513 0.054 0.287
Fe7 Fe 0.519 0.504 0.721
Fe8 Fe 0.525 0.509 0.293
O1 O 0.010 0.112 0.653
O2 O 0.015 0.106 0.167
O3 O 0.019 0.611 0.658
O4 O 0.024 0.417 0.362
O5 O 0.504 0.111 0.917
O6 O 0.518 0.175 0.421
O7 O 0.518 0.358 0.607
O8 O 0.521 0.672 0.407
F1 F 0.008 0.882 0.840
F2 F 0.016 0.920 0.361
F3 F 0.026 0.402 0.850
F4 F 0.028 0.611 0.166
F5 F 0.511 0.857 0.065
F6 F 0.513 0.861 0.599
F7 F 0.520 0.621 0.898
F8 F 0.537 0.380 0.113



# 4
# Na3Fe2PC4O16 | the Materials Project | PBE+U | optimized geometry
# symmetry: Fdd2, No. 43
# crystal system: orthorhombic
data_Na3Fe2PC4O16
_chemical_formula_sum 'Na6 Fe4 P2 C8 O32'
_cell_length_a 9.926
_cell_length_b 9.843
_cell_length_c 9.930
_cell_angle_alpha 60.27
_cell_angle_beta 59.43
_cell_angle_gamma 60.30
_space_group_name_H-M_alt 'P 1'
_space_group_IT_number 1
_space_group_name_Hall 'P 1'
loop_
_atom_site_label
_atom_site_type_symbol
_atom_site_fract_x
_atom_site_fract_y
_atom_site_fract_z
Na1 Na 0.000 0.000 0.000
Na2 Na 0.250 0.250 0.250
Na3 Na 0.255 0.672 0.258
Na4 Na 0.436 0.992 0.578
Na5 Na 0.672 0.255 0.814
Na6 Na 0.992 0.436 0.995
Fe1 Fe 0.342 0.833 0.415
Fe2 Fe 0.833 0.342 0.410
Fe3 Fe 0.835 0.840 0.908
Fe4 Fe 0.840 0.835 0.417
P1 P 0.215 0.215 0.785
P2 P 0.465 0.465 0.035
C1 C 0.051 0.701 0.623
C2 C 0.054 0.057 0.621
C3 C 0.057 0.054 0.268
C4 C 0.625 0.627 0.549
C5 C 0.627 0.625 0.199
C6 C 0.629 0.982 0.196
C7 C 0.701 0.051 0.625
C8 C 0.982 0.629 0.193
O1 O 0.023 0.197 0.505
O2 O 0.024 0.278 0.853
O3 O 0.024 0.694 0.769
O4 O 0.029 0.940 0.263
O5 O 0.195 0.701 0.508
O6 O 0.197 0.023 0.276
O7 O 0.200 0.947 0.593
O8 O 0.275 0.278 0.595
O9 O 0.278 0.024 0.845
O10 O 0.278 0.275 0.853
O11 O 0.397 0.405 0.226
O12 O 0.397 0.655 0.972
O13 O 0.405 0.397 0.972
O14 O 0.481 0.736 0.226
O15 O 0.482 0.987 0.310
O16 O 0.484 0.657 0.547
O17 O 0.653 0.742 0.549
O18 O 0.655 0.397 0.975
O19 O 0.657 0.484 0.312
O20 O 0.657 0.990 0.050
O21 O 0.694 0.024 0.514
O22 O 0.701 0.195 0.597
O23 O 0.703 0.938 0.766
O24 O 0.736 0.481 0.556
O25 O 0.742 0.653 0.055
O26 O 0.745 0.974 0.227
O27 O 0.938 0.703 0.593
O28 O 0.940 0.029 0.768
O29 O 0.947 0.200 0.260
O30 O 0.974 0.745 0.053
O31 O 0.987 0.482 0.221
O32 O 0.990 0.657 0.303



# 5
# Li2CrFe3O8 | the Materials Project | PBE+U | optimized geometry
# symmetry: C222_1, No. 20
# crystal system: orthorhombic
data_Li2CrFe3O8
_chemical_formula_sum 'Li8 Cr4 Fe12 O32'
_cell_length_a 8.451
_cell_length_b 8.451
_cell_length_c 8.386
_cell_angle_alpha 90.00
_cell_angle_beta 90.00
_cell_angle_gamma 90.15
_space_group_name_H-M_alt 'P 1'
_space_group_IT_number 1
_space_group_name_Hall 'P 1'
loop_
_atom_site_label
_atom_site_type_symbol
_atom_site_fract_x
_atom_site_fract_y
_atom_site_fract_z
Li1 Li 0.001 0.248 0.379
Li2 Li 0.248 0.001 0.621
Li3 Li 0.251 0.501 0.123
Li4 Li 0.499 0.749 0.377
Li5 Li 0.501 0.251 0.877
Li6 Li 0.749 0.499 0.623
Li7 Li 0.752 0.999 0.121
Li8 Li 0.999 0.752 0.879
Cr1 Cr 0.124 0.876 0.250
Cr2 Cr 0.373 0.373 0.500
Cr3 Cr 0.627 0.627 0.000
Cr4 Cr 0.876 0.124 0.750
Fe1 Fe 0.123 0.123 0.000
Fe2 Fe 0.125 0.375 0.747
Fe3 Fe 0.126 0.625 0.500
Fe4 Fe 0.374 0.626 0.750
Fe5 Fe 0.375 0.125 0.253
Fe6 Fe 0.375 0.874 0.000
Fe7 Fe 0.625 0.126 0.500
Fe8 Fe 0.625 0.875 0.753
Fe9 Fe 0.626 0.374 0.250
Fe10 Fe 0.874 0.375 0.000
Fe11 Fe 0.875 0.625 0.247
Fe12 Fe 0.877 0.877 0.500
O1 O 0.110 0.864 0.486
O2 O 0.111 0.640 0.259
O3 O 0.112 0.135 0.760
O4 O 0.114 0.364 0.981
O5 O 0.133 0.384 0.519
O6 O 0.134 0.614 0.739
O7 O 0.135 0.112 0.240
O8 O 0.136 0.890 0.014
O9 O 0.359 0.385 0.739
O10 O 0.359 0.610 0.510
O11 O 0.360 0.889 0.241
O12 O 0.364 0.114 0.019
O13 O 0.384 0.133 0.481
O14 O 0.385 0.359 0.261
O15 O 0.386 0.866 0.761
O16 O 0.390 0.641 0.990
O17 O 0.610 0.359 0.490
O18 O 0.614 0.134 0.261
O19 O 0.615 0.641 0.761
O20 O 0.616 0.867 0.981
O21 O 0.636 0.886 0.519
O22 O 0.640 0.111 0.741
O23 O 0.641 0.390 0.010
O24 O 0.641 0.615 0.239
O25 O 0.864 0.110 0.514
O26 O 0.865 0.888 0.740
O27 O 0.866 0.386 0.239
O28 O 0.867 0.616 0.019
O29 O 0.886 0.636 0.481
O30 O 0.888 0.865 0.260
O31 O 0.889 0.360 0.759
O32 O 0.890 0.136 0.986



# 6
# Pr2Fe2Se2O3 | the Materials Project | PBE+U | optimized geometry
# symmetry: I4/mmm, No. 139
# crystal system: tetragonal
data_Pr2Fe2Se2O3
_chemical_formula_sum 'Pr2 Fe2 Se2 O3'
_cell_length_a 9.907
_cell_length_b 9.907
_cell_length_c 9.907
_cell_angle_alpha 156.03
_cell_angle_beta 156.03
_cell_angle_gamma 34.15
_space_group_name_H-M_alt 'P 1'
_space_group_IT_number 1
_space_group_name_Hall 'P 1'
loop_
_atom_site_label
_atom_site_type_symbol
_atom_site_fract_x
_atom_site_fract_y
_atom_site_fract_z
Pr1 Pr 0.187 0.187 0.000
Pr2 Pr 0.813 0.813 0.000
Fe1 Fe 0.000 0.500 0.500
Fe2 Fe 0.500 0.000 0.500
Se1 Se 0.401 0.401 0.000
Se2 Se 0.599 0.599 0.000
O1 O 0.000 0.000 0.000
O2 O 0.250 0.750 0.500
O3 O 0.750 0.250 0.500



Number 1: E_form -1.971 eV per atom. Number 2: E_form -2.099 eV per atom. Number 3: E_form -2.111 eV per atom. Number 4: E_form -1.870 eV per atom. Number 5: E_form -1.820 eV per atom. Number 6: E_form -2.173 eV per atom.